Compound: MnTeO4
Source: the Materials Project
Functional: PBE with a Hubbard U
Structure: optimized geometry

Geometry as POSCAR:
```
MnTeO4
1.0
5.165 0.000 0.000
0.000 3.128 0.000
-2.552 0.000 5.332
Mn Te O
1 1 4
direct
0.000 0.000 0.000
0.000 0.500 0.500
0.164 0.500 0.266
0.247 0.000 0.700
0.753 0.000 0.300
0.836 0.500 0.734
```

Calculated values
Space group ... P2/m, No. 10
Electronic total energy ... -37.15 eV/cell
Calculated formation energy ... -914.0 kJ/mol of formula units